1.
# Tl2Ag16Te11

A geometry-optimized Tl2Ag16Te11 structure (PBE, Materials Project).

```
data_Tl2Ag16Te11
_space_group_name_H-M_alt 'P 1'
_space_group_IT_number 1
_cell_length_a 11.411
_cell_length_b 11.427
_cell_length_c 15.437
_cell_angle_alpha 111.55
_cell_angle_beta 90.02
_cell_angle_gamma 119.68
loop_
_space_group_symop_operation_xyz
'x,y,z'
loop_
_atom_site_label
_atom_site_fract_x
_atom_site_fract_y
_atom_site_fract_z
_atom_site_occupancy
Tl1 0.000 0.000 0.000 1
Tl2 0.099 0.891 0.314 1
Tl3 0.499 0.498 0.487 1
Tl4 0.617 0.388 0.823 1
Ag1 0.083 0.517 0.684 1
Ag2 0.104 0.299 0.490 1
Ag3 0.131 0.921 0.681 1
Ag4 0.192 0.102 0.485 1
Ag5 0.192 0.808 0.565 1
Ag6 0.193 0.391 0.991 1
Ag7 0.196 0.807 0.994 1
Ag8 0.212 0.580 0.329 1
Ag9 0.218 0.076 0.834 1
Ag10 0.294 0.446 0.655 1
Ag11 0.328 0.958 0.149 1
Ag12 0.399 0.297 0.995 1
Ag13 0.401 0.803 0.488 1
Ag14 0.418 0.294 0.327 1
Ag15 0.486 0.462 0.139 1
Ag16 0.489 0.876 0.685 1
Ag17 0.504 0.082 0.322 1
Ag18 0.542 0.882 0.139 1
Ag19 0.559 0.181 0.660 1
Ag20 0.616 0.817 0.997 1
Ag21 0.692 0.300 0.072 1
Ag22 0.696 0.902 0.491 1
Ag23 0.705 0.789 0.829 1
Ag24 0.707 0.306 0.489 1
Ag25 0.717 0.793 0.325 1
Ag26 0.794 0.684 0.154 1
Ag27 0.821 0.707 0.656 1
Ag28 0.900 0.600 0.487 1
Ag29 0.908 0.593 0.987 1
Ag30 0.917 0.078 0.754 1
Ag31 0.920 0.294 0.833 1
Ag32 0.989 0.417 0.179 1
Te1 0.065 0.711 0.159 1
Te2 0.135 0.571 0.491 1
Te3 0.178 0.313 0.825 1
Te4 0.185 0.326 0.324 1
Te5 0.263 0.741 0.771 1
Te6 0.283 0.174 0.164 1
Te7 0.321 0.209 0.659 1
Te8 0.353 0.653 0.040 1
Te9 0.429 0.065 0.493 1
Te10 0.457 0.083 0.987 1
Te11 0.475 0.814 0.322 1
Te12 0.561 0.682 0.657 1
Te13 0.642 0.560 0.990 1
Te14 0.679 0.524 0.322 1
Te15 0.687 0.030 0.829 1
Te16 0.761 0.249 0.270 1
Te17 0.793 0.441 0.658 1
Te18 0.821 0.945 0.155 1
Te19 0.858 0.148 0.553 1
Te20 0.927 0.350 0.999 1
Te21 0.935 0.865 0.490 1
Te22 0.973 0.823 0.824 1
```

Computed properties:
calculated volume	1585	Å³/cell
polymorph energy (0 for the lowest one)	605	meV per atom
formation enthalpy at 0 K	1108	kJ/mol of formula units
uncorrected energy	-136.98	eV per cell

***

2.
# Y6AgTe2

A geometry-optimized Y6AgTe2 structure (PBE, Materials Project).

```
data_Y6AgTe2
_space_group_name_H-M_alt 'P n m a'
_space_group_IT_number 62
_cell_length_a 22.150
_cell_length_b 4.091
_cell_length_c 11.622
_cell_angle_alpha 90.00
_cell_angle_beta 90.00
_cell_angle_gamma 90.00
loop_
_space_group_symop_operation_xyz
'x,y,z'
'-x,-y,-z'
'-x+1/2,-y,z+1/2'
'x+1/2,y,-z+1/2'
'x+1/2,-y+1/2,-z+1/2'
'-x+1/2,y+1/2,z+1/2'
'-x,y+1/2,-z'
'x,-y+1/2,z'
loop_
_atom_site_label
_atom_site_fract_x
_atom_site_fract_y
_atom_site_fract_z
_atom_site_occupancy
Y1 0.015 0.250 0.112 1
Y2 0.031 0.750 0.381 1
Y3 0.109 0.250 0.836 1
Y4 0.148 0.750 0.078 1
Y5 0.158 0.250 0.540 1
Y6 0.233 0.750 0.757 1
Ag1 0.074 0.750 0.647 1
Te1 0.127 0.250 0.279 1
Te2 0.239 0.250 0.971 1
```

Computed properties:
calculated volume	1053	Å³/cell
formation enthalpy at 0 K	-676	kJ/mol of formula units
uncorrected energy	-216.32	eV per cell

***

3.
# ThAg2

A geometry-optimized ThAg2 structure (PBE, Materials Project).

```
data_ThAg2
_space_group_name_H-M_alt 'P 6/m m m'
_space_group_IT_number 191
_space_group_name_Hall '-P 6 2'
_cell_length_a 4.9067
_cell_length_b 4.9067
_cell_length_c 3.3589
_cell_angle_alpha 90.00
_cell_angle_beta 90.00
_cell_angle_gamma 120.00
loop_
_atom_site_label
_atom_site_fract_x
_atom_site_fract_y
_atom_site_fract_z
_atom_site_occupancy
Th1 0.0000 0.0000 0.0000 1
Ag1 0.3333 0.6667 0.5000 1
```

Computed properties:
calculated volume	70	Å³/cell
formation enthalpy at 0 K	-50	kJ/mol of formula units
uncorrected energy	-13.60	eV per cell

***

4.
# Th2Ag

A geometry-optimized Th2Ag structure (PBE, Materials Project).

```
data_Th2Ag
_space_group_name_H-M_alt 'I 4/m c m'
_space_group_IT_number 140
_space_group_name_Hall '-I 4 2c'
_cell_length_a 7.593
_cell_length_b 7.593
_cell_length_c 5.893
_cell_angle_alpha 90.00
_cell_angle_beta 90.00
_cell_angle_gamma 90.00
loop_
_atom_site_label
_atom_site_fract_x
_atom_site_fract_y
_atom_site_fract_z
_atom_site_occupancy
Th1 0.154 0.346 0.000 1
Ag1 0.000 0.000 0.250 1
```

Computed properties:
calculated volume	340	Å³/cell
formation enthalpy at 0 K	-20	kJ/mol of formula units
uncorrected energy	-71.45	eV per cell

***

5.
# Ti2Ag

A geometry-optimized Ti2Ag structure (PBE, Materials Project).

```
data_Ti2Ag
_space_group_name_H-M_alt 'I 4/m m m'
_space_group_IT_number 139
_space_group_name_Hall '-I 4 2'
_cell_length_a 2.931
_cell_length_b 2.931
_cell_length_c 12.166
_cell_angle_alpha 90.00
_cell_angle_beta 90.00
_cell_angle_gamma 90.00
loop_
_atom_site_label
_atom_site_fract_x
_atom_site_fract_y
_atom_site_fract_z
_atom_site_occupancy
Ti1 0.000 0.000 0.173 1
Ag1 0.000 0.000 0.500 1
```

Computed properties:
calculated volume	105	Å³/cell
formation enthalpy at 0 K	-17	kJ/mol of formula units
uncorrected energy	-37.59	eV per cell

***

6.
# YTlAg2

A geometry-optimized YTlAg2 structure (PBE, Materials Project).

```
data_YTlAg2
_space_group_name_H-M_alt 'F m -3 m'
_space_group_IT_number 225
_space_group_name_Hall '-F 4 2 3'
_cell_length_a 7.088
_cell_length_b 7.088
_cell_length_c 7.088
_cell_angle_alpha 90.00
_cell_angle_beta 90.00
_cell_angle_gamma 90.00
loop_
_atom_site_label
_atom_site_fract_x
_atom_site_fract_y
_atom_site_fract_z
_atom_site_occupancy
Y1 0.000 0.000 0.000 1
Tl1 0.000 0.000 0.500 1
Ag1 0.250 0.250 0.250 1
```

Computed properties:
calculated volume	356	Å³/cell
formation enthalpy at 0 K	-95	kJ/mol of formula units
uncorrected energy	-61.92	eV per cell

***

7.
# TmAg3

A geometry-optimized TmAg3 structure (PBE, Materials Project).

```
data_TmAg3
_space_group_name_H-M_alt 'P m -3 m'
_space_group_IT_number 221
_space_group_name_Hall '-P 4 2 3'
_cell_length_a 4.366
_cell_length_b 4.366
_cell_length_c 4.366
_cell_angle_alpha 90.00
_cell_angle_beta 90.00
_cell_angle_gamma 90.00
loop_
_atom_site_label
_atom_site_fract_x
_atom_site_fract_y
_atom_site_fract_z
_atom_site_occupancy
Tm1 0.000 0.000 0.000 1
Ag1 0.000 0.500 0.500 1
```

Computed properties:
calculated volume	83	Å³/cell
formation enthalpy at 0 K	-49	kJ/mol of formula units
uncorrected energy	-13.48	eV per cell

***

8.
# YTmAg2

A geometry-optimized YTmAg2 structure (PBE, Materials Project).

```
data_YTmAg2
_space_group_name_H-M_alt 'F m -3 m'
_space_group_IT_number 225
_space_group_name_Hall '-F 4 2 3'
_cell_length_a 7.260
_cell_length_b 7.260
_cell_length_c 7.260
_cell_angle_alpha 90.00
_cell_angle_beta 90.00
_cell_angle_gamma 90.00
loop_
_atom_site_label
_atom_site_fract_x
_atom_site_fract_y
_atom_site_fract_z
_atom_site_occupancy
Y1 0.000 0.000 0.000 1
Tm1 0.000 0.000 0.500 1
Ag1 0.250 0.250 0.250 1
```

Computed properties:
calculated volume	383	Å³/cell
formation enthalpy at 0 K	-131	kJ/mol of formula units
uncorrected energy	-71.87	eV per cell

***

> Which of these has the lowest calculated volume?

ThAg2

***

> What is the uncorrected energy in the second record?

-216.32 eV per cell